Entry 1:
Na14Mg9P16O56 GGA-PBE relaxed; formation enthalpy at 0 K = -267.3 eV/f.u.; size of the total moment = 0.004 μB/f.u.; V = 1171 Å³/f.u.
1.0
9.850 0.000 0.000
3.341 10.512 0.000
4.874 3.949 11.312
Na Mg P O
14 9 16 56
Direct
0.874 0.880 0.603
0.375 0.892 0.084
0.126 0.120 0.397
0.625 0.108 0.916
0.041 0.651 0.942
0.539 0.657 0.443
0.959 0.349 0.058
0.461 0.343 0.557
0.129 0.525 0.662
0.630 0.524 0.162
0.871 0.475 0.338
0.370 0.476 0.838
0.660 0.966 0.391
0.340 0.034 0.609
0.807 0.217 0.582
0.308 0.220 0.080
0.193 0.783 0.418
0.692 0.780 0.920
0.937 0.267 0.798
0.440 0.263 0.300
0.063 0.733 0.202
0.560 0.737 0.700
0.000 0.000 0.000
0.710 0.455 0.632
0.210 0.458 0.130
0.290 0.545 0.368
0.790 0.542 0.870
0.873 0.687 0.490
0.366 0.693 0.986
0.127 0.313 0.510
0.634 0.307 0.014
0.769 0.214 0.341
0.265 0.197 0.845
0.231 0.786 0.659
0.735 0.803 0.155
0.970 0.957 0.770
0.463 0.965 0.263
0.030 0.043 0.230
0.537 0.035 0.737
0.903 0.704 0.360
0.398 0.699 0.860
0.097 0.296 0.640
0.602 0.301 0.140
0.803 0.350 0.252
0.285 0.337 0.757
0.197 0.650 0.748
0.715 0.663 0.243
0.921 0.041 0.660
0.417 0.038 0.150
0.079 0.959 0.340
0.583 0.962 0.850
0.078 0.547 0.189
0.582 0.543 0.694
0.922 0.453 0.811
0.418 0.457 0.306
0.149 0.902 0.728
0.645 0.913 0.226
0.851 0.098 0.272
0.355 0.087 0.774
0.000 0.703 0.520
0.494 0.710 0.015
0.000 0.297 0.480
0.506 0.290 0.985
0.851 0.532 0.568
0.348 0.537 0.070
0.149 0.468 0.432
0.652 0.463 0.930
0.726 0.776 0.534
0.218 0.784 0.030
0.274 0.224 0.466
0.782 0.216 0.970
0.677 0.430 0.535
0.181 0.433 0.031
0.323 0.570 0.465
0.819 0.567 0.969
0.840 0.164 0.441
0.333 0.157 0.945
0.160 0.836 0.559
0.667 0.843 0.055
0.951 0.042 0.846
0.441 0.058 0.332
0.049 0.958 0.154
0.559 0.942 0.668
0.770 0.317 0.712
0.268 0.320 0.211
0.230 0.683 0.288
0.732 0.680 0.789
0.102 0.170 0.894
0.606 0.196 0.387
0.898 0.830 0.106
0.394 0.804 0.613
0.899 0.831 0.840
0.398 0.837 0.337
0.101 0.169 0.160
0.602 0.163 0.663


Entry 2:
SmCu5Sn GGA-PBE relaxed; formation enthalpy at 0 K = -1.8 eV/f.u.; size of the total moment = 0.001 μB/f.u.; V = 110 Å³/f.u.
1.0
-4.488 2.012 1.057
-3.454 -7.487 -0.408
1.805 -1.395 10.316
Sm Cu Sn
4 20 4
Direct
0.250 0.754 0.061
0.750 0.246 0.939
0.750 0.746 0.561
0.250 0.254 0.439
0.250 0.815 0.746
0.750 0.185 0.254
0.750 0.685 0.246
0.250 0.315 0.754
0.502 0.566 0.813
0.498 0.434 0.187
0.498 0.934 0.313
0.002 0.434 0.187
0.502 0.066 0.687
0.998 0.566 0.813
0.998 0.066 0.687
0.002 0.934 0.313
0.250 0.914 0.517
0.750 0.086 0.483
0.750 0.586 0.017
0.250 0.414 0.983
0.250 0.560 0.604
0.750 0.440 0.396
0.750 0.940 0.104
0.250 0.060 0.896
0.250 0.641 0.361
0.750 0.359 0.639
0.750 0.859 0.861
0.250 0.141 0.139


Q: Among the records above, which one has the lowest size of the total moment?
A: SmCu5Sn


Q: Which of these has the lowest size of the total moment?
A: SmCu5Sn


Q: What is the formula in the second record?
A: SmCu5Sn